1.
## NaTi4O8 (PBE-GGA)

Data for an optimized crystal structure of NaTi4O8.

- total energy (eV/atom) = -8.45
- polymorph energy (0 for the lowest one) (eV/atom) = 0.000
- crystal system = monoclinic
- V (Å³/atom) = 12.53
- space group = P2_1/c (14)
- formation energy (eV/f.u.) = -42.87

Lattice parameters (Å, degrees): 5.9385 11.3107 11.3522 90.00 121.32 90.00
With the nearest neighbours (Å) after each atom.
Positions (direct):
Na 0.2495 0.0736 0.4014  4 O 2.25-2.50
Na 0.2495 0.4264 0.9014  4 O 2.25-2.50
Na 0.7505 0.5736 0.0986  4 O 2.25-2.50
Na 0.7505 0.9264 0.5986  4 O 2.25-2.50
Ti 0.1062 0.6247 0.4839  6 O 1.89-2.10
Ti 0.1062 0.8753 0.9839  6 O 1.89-2.10
Ti 0.1317 0.6698 0.7568  6 O 1.91-2.11
Ti 0.1317 0.8302 0.2568  6 O 1.91-2.11
Ti 0.3609 0.1544 0.7354  4 O 1.86-2.05
Ti 0.3609 0.3456 0.2354  4 O 1.86-2.05
Ti 0.3935 0.1233 0.0212  6 O 1.92-2.11
Ti 0.3935 0.3767 0.5212  6 O 1.92-2.11
Ti 0.6065 0.6233 0.4788  6 O 1.92-2.11
Ti 0.6065 0.8767 0.9788  6 O 1.92-2.11
Ti 0.6391 0.6544 0.7646  4 O 1.86-2.05
Ti 0.6391 0.8456 0.2646  4 O 1.86-2.05
Ti 0.8683 0.1698 0.7432  6 O 1.91-2.11
Ti 0.8683 0.3302 0.2432  6 O 1.91-2.11
Ti 0.8938 0.1247 0.0161  6 O 1.89-2.10
Ti 0.8938 0.3753 0.5161  6 O 1.89-2.10
O 0.0246 0.0905 0.6542  2 Ti 1.86-1.91
O 0.0246 0.4095 0.1542  2 Ti 1.86-1.91
O 0.0280 0.0417 0.9021  4 Ti 2.04-2.11
O 0.0280 0.4583 0.4021  4 Ti 2.04-2.11
O 0.2424 0.6875 0.3696  3 Ti 1.95-1.99
O 0.2424 0.8125 0.8696  3 Ti 1.95-1.99
O 0.2440 0.2306 0.8675  3 Ti 1.92-2.13
O 0.2440 0.2694 0.3675  3 Ti 1.92-2.13
O 0.2493 0.1941 0.1268  3 Ti 1.97-2.01
O 0.2493 0.3059 0.6268  3 Ti 1.97-2.01
O 0.2617 0.7295 0.6356  3 Ti 1.89-2.12
O 0.2617 0.7705 0.1356  3 Ti 1.89-2.12
O 0.4702 0.5917 0.8535  2 Ti 1.89-1.93
O 0.4702 0.9083 0.3535  2 Ti 1.89-1.93
O 0.4734 0.5413 0.5990  4 Ti 2.01-2.11
O 0.4734 0.9587 0.0990  4 Ti 2.01-2.11
O 0.5266 0.0413 0.9010  4 Ti 2.01-2.11
O 0.5266 0.4587 0.4010  4 Ti 2.01-2.11
O 0.5298 0.0917 0.6465  2 Ti 1.89-1.93
O 0.5298 0.4083 0.1465  2 Ti 1.89-1.93
O 0.7383 0.2295 0.8644  3 Ti 1.89-2.12
O 0.7383 0.2705 0.3644  3 Ti 1.89-2.12
O 0.7507 0.6941 0.3732  3 Ti 1.97-2.01
O 0.7507 0.8059 0.8732  3 Ti 1.97-2.01
O 0.7560 0.7306 0.6325  3 Ti 1.92-2.13
O 0.7560 0.7694 0.1325  3 Ti 1.92-2.13
O 0.7576 0.1875 0.1304  3 Ti 1.95-1.99
O 0.7576 0.3125 0.6304  3 Ti 1.95-1.99
O 0.9720 0.5417 0.5979  4 Ti 2.04-2.11
O 0.9720 0.9583 0.0979  4 Ti 2.04-2.11
O 0.9754 0.5905 0.8458  2 Ti 1.86-1.91
O 0.9754 0.9095 0.3458  2 Ti 1.86-1.91

---

2.
## HgCN2 (PBE-GGA)

Data for an optimized crystal structure of HgCN2.

- total energy (eV/atom) = -6.07
- crystal system = monoclinic
- V (Å³/atom) = 16.63
- space group = P2_1/c (14)
- formation energy (eV/f.u.) = 1.22

Lattice parameters (Å, degrees): 5.5797 7.1266 7.2762 90.00 113.11 90.00
With the nearest neighbours (Å) after each atom.
Positions (direct):
Hg 0.0078 0.1252 0.2560  2 N 2.11
Hg 0.0078 0.3748 0.7560  2 N 2.11
Hg 0.9922 0.6252 0.2440  2 N 2.11
Hg 0.9922 0.8748 0.7440  2 N 2.11
C 0.4290 0.6270 0.7696  2 N 1.20-1.29
C 0.4290 0.8730 0.2696  2 N 1.20-1.29
C 0.5710 0.1270 0.7304  2 N 1.20-1.29
C 0.5710 0.3730 0.2304  2 N 1.20-1.29
N 0.1789 0.6268 0.7126  1 C 1.29
N 0.1789 0.8732 0.2126  1 C 1.29
N 0.3403 0.1251 0.6836  1 C 1.20
N 0.3403 0.3749 0.1836  1 C 1.20
N 0.6597 0.6251 0.8164  1 C 1.20
N 0.6597 0.8749 0.3164  1 C 1.20
N 0.8211 0.1268 0.7874  1 C 1.29
N 0.8211 0.3733 0.2874  1 C 1.29

---

3.
## SmAl2Zn2 (PBE-GGA)

Data for an optimized crystal structure of SmAl2Zn2.

- total energy (eV/atom) = -3.38
- crystal system = tetragonal
- V (Å³/atom) = 19.10
- space group = I4/mmm (139)
- formation energy (eV/f.u.) = -2.17

Lattice parameters (Å, degrees): 6.2391 6.2391 6.2391 140.98 140.98 56.36
With the nearest neighbours (Å) after each atom.
Positions (direct):
Sm 0.0000 0.0000 0.0000  8 Zn 3.19, 8 Al 3.45
Al 0.2500 0.7500 0.5000  4 Zn 2.59
Al 0.7500 0.2500 0.5000  4 Zn 2.59
Zn 0.3896 0.3896 0.0000  1 Zn 2.43, 4 Al 2.59
Zn 0.6104 0.6104 0.0000  1 Zn 2.43, 4 Al 2.59

---

4.
## Cs3Sb5S9 (PBE-GGA)

Data for an optimized crystal structure of Cs3Sb5S9.

- total energy (eV/atom) = -4.15
- crystal system = monoclinic
- V (Å³/atom) = 32.09
- space group = C2/m (12)
- formation energy (eV/f.u.) = -14.60

Lattice parameters (Å, degrees): 13.6458 13.6458 9.4785 95.81 95.81 139.70
With the nearest neighbours (Å) after each atom.
Positions (direct):
Cs 0.0439 0.4743 0.7311  9 S 3.59-3.93
Cs 0.0817 0.9183 0.0000  6 S 3.57-3.99, 2 Sb 3.95
Cs 0.4743 0.0439 0.7311  9 S 3.59-3.93
Cs 0.5257 0.9561 0.2689  9 S 3.59-3.93
Cs 0.9183 0.0817 0.0000  6 S 3.57-3.99, 2 Sb 3.95
Cs 0.9561 0.5257 0.2689  9 S 3.59-3.93
Sb 0.0727 0.9273 0.5000  4 S 2.61-2.85
Sb 0.2210 0.4653 0.3370  3 S 2.41-2.53
Sb 0.3938 0.3938 0.6370  3 S 2.49-2.60
Sb 0.4210 0.5790 0.0000  6 S 2.77-2.81
Sb 0.4653 0.2210 0.3370  3 S 2.41-2.53
Sb 0.5347 0.7790 0.6630  3 S 2.41-2.53
Sb 0.5790 0.4210 0.0000  6 S 2.77-2.81
Sb 0.6062 0.6062 0.3630  3 S 2.49-2.60
Sb 0.7790 0.5347 0.6630  3 S 2.41-2.53
Sb 0.9273 0.0727 0.5000  4 S 2.61-2.85
S 0.0529 0.7420 0.6663  1 Sb 2.41
S 0.1203 0.1203 0.3789  2 Sb 2.61
S 0.1935 0.5089 0.0989  1 Sb 2.45
S 0.2012 0.3514 0.7279  1 Sb 2.49
S 0.2580 0.9471 0.3337  1 Sb 2.41
S 0.3085 0.6915 0.5000  2 Sb 2.53
S 0.3514 0.2012 0.7279  1 Sb 2.49
S 0.3777 0.3777 0.1281  3 Sb 2.60-2.78
S 0.4911 0.8065 0.9011  1 Sb 2.45
S 0.5089 0.1935 0.0989  1 Sb 2.45
S 0.6223 0.6223 0.8719  3 Sb 2.60-2.78
S 0.6486 0.7988 0.2721  1 Sb 2.49
S 0.6915 0.3085 0.5000  2 Sb 2.53
S 0.7420 0.0529 0.6663  1 Sb 2.41
S 0.7988 0.6486 0.2721  1 Sb 2.49
S 0.8065 0.4911 0.9011  1 Sb 2.45
S 0.8797 0.8797 0.6211  2 Sb 2.61
S 0.9471 0.2580 0.3337  1 Sb 2.41

---

5.
## Gd2CBr (PBE-GGA)

Data for an optimized crystal structure of Gd2CBr.

- total energy (eV/atom) = -10.71
- crystal system = hexagonal
- V (Å³/atom) = 21.69
- space group = P6_3/mmc (194)
- formation energy (eV/f.u.) = -4.36

Lattice parameters (Å, degrees): 3.7306 3.7306 14.3971 90.00 90.00 120.00
With the nearest neighbours (Å) after each atom.
Positions (direct):
Gd 0.3333 0.6667 0.0902  3 C 2.51
Gd 0.3333 0.6667 0.4098  3 C 2.51
Gd 0.6667 0.3333 0.5902  3 C 2.51
Gd 0.6667 0.3333 0.9098  3 C 2.51
C 0.0000 0.0000 0.0000  6 Gd 2.51
C 0.0000 0.0000 0.5000  6 Gd 2.51
Br 0.3333 0.6667 0.7500  6 Gd 3.15
Br 0.6667 0.3333 0.2500  6 Gd 3.15

---

6.
## MgH12Cl2O6 (PBE-GGA)

Data for an optimized crystal structure of MgH12Cl2O6.

- total energy (eV/atom) = -4.77
- crystal system = monoclinic
- V (Å³/atom) = 10.30
- space group = C2/m (12)
- formation energy (eV/f.u.) = -28.67

Lattice parameters (Å, degrees): 6.1179 6.1179 6.1098 93.17 93.17 71.41
With the nearest neighbours (Å) after each atom.
Positions (direct):
Mg 0.0000 0.0000 0.0000  6 O 2.05-2.06
H 0.0806 0.6841 0.3173  1 O 0.98
H 0.2387 0.2387 0.2611  1 O 0.98
H 0.2714 0.2714 0.0067  1 O 0.98
H 0.2793 0.6764 0.7203  1 O 0.98
H 0.3159 0.9194 0.6827  1 O 0.98
H 0.3236 0.7207 0.2797  1 O 0.98
H 0.6764 0.2793 0.7203  1 O 0.98
H 0.6841 0.0806 0.3173  1 O 0.98
H 0.7207 0.3236 0.2797  1 O 0.98
H 0.7286 0.7286 0.9933  1 O 0.98
H 0.7613 0.7613 0.7389  1 O 0.98
H 0.9194 0.3159 0.6827  1 O 0.98
Cl 0.3176 0.3176 0.6124  3 H 2.20-2.23
Cl 0.6824 0.6824 0.3876  3 H 2.20-2.23
O 0.1640 0.7509 0.2213  2 H 0.98
O 0.1995 0.1995 0.1092  2 H 0.98
O 0.2491 0.8360 0.7787  2 H 0.98
O 0.7509 0.1640 0.2213  2 H 0.98
O 0.8005 0.8005 0.8908  2 H 0.98
O 0.8360 0.2491 0.7787  2 H 0.98

---

7.
## CsInHgS3 (PBE-GGA)

Data for an optimized crystal structure of CsInHgS3.

- total energy (eV/atom) = -3.41
- crystal system = monoclinic
- V (Å³/atom) = 31.47
- space group = C2/c (15)
- formation energy (eV/f.u.) = -5.61

Lattice parameters (Å, degrees): 8.2405 8.2405 22.4322 95.27 95.27 89.99
With the nearest neighbours (Å) after each atom.
Positions (direct):
Cs 0.1060 0.7306 0.9228  6 S 3.62-3.66
Cs 0.2689 0.3949 0.5771  6 S 3.61-3.65
Cs 0.2694 0.8940 0.5772  6 S 3.62-3.66
Cs 0.3949 0.2689 0.0771  6 S 3.61-3.65
Cs 0.6051 0.7311 0.9229  6 S 3.61-3.65
Cs 0.7306 0.1060 0.4228  6 S 3.62-3.66
Cs 0.7311 0.6051 0.4229  6 S 3.61-3.65
Cs 0.8940 0.2694 0.0772  6 S 3.62-3.66
In 0.1554 0.7801 0.1220  4 S 2.49-2.53
In 0.2189 0.3444 0.3772  4 S 2.49-2.53
In 0.2199 0.8446 0.3780  4 S 2.49-2.53
In 0.3444 0.2189 0.8772  4 S 2.49-2.53
In 0.6556 0.7811 0.1228  4 S 2.49-2.53
In 0.7801 0.1554 0.6220  4 S 2.49-2.53
In 0.7811 0.6556 0.6228  4 S 2.49-2.53
In 0.8446 0.2199 0.8780  4 S 2.49-2.53
Hg 0.0603 0.4344 0.7500  4 S 2.59-2.60
Hg 0.0596 0.9404 0.7500  4 S 2.59-2.60
Hg 0.4344 0.0603 0.2500  4 S 2.59-2.60
Hg 0.4355 0.5645 0.2500  4 S 2.59-2.60
Hg 0.5645 0.4355 0.7500  4 S 2.59-2.60
Hg 0.5656 0.9397 0.7500  4 S 2.59-2.60
Hg 0.9404 0.0596 0.2500  4 S 2.59-2.60
Hg 0.9397 0.5656 0.2500  4 S 2.59-2.60
S 0.0554 0.1695 0.6785  1 In 2.49, 2 Hg 2.59
S 0.0552 0.6700 0.6800  1 In 2.49, 2 Hg 2.60
S 0.1112 0.2364 0.9435  2 In 2.53
S 0.1695 0.0554 0.1785  1 In 2.49, 2 Hg 2.59
S 0.1698 0.5335 0.1788  1 In 2.49, 2 Hg 2.59
S 0.2364 0.1112 0.4435  2 In 2.53
S 0.2356 0.6105 0.4435  2 In 2.53
S 0.3299 0.4653 0.8203  1 In 2.49, 2 Hg 2.60
S 0.3300 0.9448 0.8200  1 In 2.49, 2 Hg 2.60
S 0.3895 0.7644 0.0565  2 In 2.53
S 0.4653 0.3299 0.3203  1 In 2.49, 2 Hg 2.60
S 0.4665 0.8302 0.3212  1 In 2.49, 2 Hg 2.59
S 0.5335 0.1698 0.6788  1 In 2.49, 2 Hg 2.59
S 0.5347 0.6701 0.6797  1 In 2.49, 2 Hg 2.60
S 0.6105 0.2356 0.9435  2 In 2.53
S 0.6700 0.0552 0.1800  1 In 2.49, 2 Hg 2.60
S 0.6701 0.5347 0.1797  1 In 2.49, 2 Hg 2.60
S 0.7644 0.3895 0.5565  2 In 2.53
S 0.7636 0.8888 0.5565  2 In 2.53
S 0.8302 0.4665 0.8212  1 In 2.49, 2 Hg 2.59
S 0.8305 0.9446 0.8215  1 In 2.49, 2 Hg 2.59
S 0.8888 0.7636 0.0565  2 In 2.53
S 0.9448 0.3300 0.3200  1 In 2.49, 2 Hg 2.60
S 0.9446 0.8305 0.3215  1 In 2.49, 2 Hg 2.59

---

8.
## Tb2Co7B3 (PBE-GGA)

Data for an optimized crystal structure of Tb2Co7B3.

- total energy (eV/atom) = -6.98
- crystal system = hexagonal
- V (Å³/atom) = 11.66
- space group = P6/mmm (191)
- formation energy (eV/f.u.) = -4.72

Lattice parameters (Å, degrees): 5.0375 5.0375 12.7258 90.00 90.00 120.00
With the nearest neighbours (Å) after each atom.
Positions (direct):
Tb 0.0000 0.0000 0.0000  6 B 2.91, 12 Co 2.92, 2 Tb 3.04
Tb 0.0000 0.0000 0.2388  12 Co 2.86-2.97, 6 B 2.91, 1 Tb 3.04
Tb 0.0000 0.0000 0.5000  18 Co 2.91-3.20
Tb 0.0000 0.0000 0.7612  12 Co 2.86-2.97, 6 B 2.91, 1 Tb 3.04
Co 0.0000 0.5000 0.1157  4 B 2.07
Co 0.0000 0.5000 0.3450  2 B 2.05
Co 0.0000 0.5000 0.6550  2 B 2.05
Co 0.0000 0.5000 0.8843  4 B 2.07
Co 0.3333 0.6667 0.5000  6 Co 2.45
Co 0.5000 0.0000 0.1157  4 B 2.07
Co 0.5000 0.0000 0.3450  2 B 2.05
Co 0.5000 0.0000 0.6550  2 B 2.05
Co 0.5000 0.0000 0.8843  4 B 2.07
Co 0.5000 0.5000 0.1157  4 B 2.07
Co 0.5000 0.5000 0.3450  2 B 2.05
Co 0.5000 0.5000 0.6550  2 B 2.05
Co 0.5000 0.5000 0.8843  4 B 2.07
Co 0.6667 0.3333 0.5000  6 Co 2.45
B 0.3333 0.6667 0.0000  6 Co 2.07
B 0.3333 0.6667 0.2318  6 Co 2.05-2.07
B 0.3333 0.6667 0.7682  6 Co 2.05-2.07
B 0.6667 0.3333 0.0000  6 Co 2.07
B 0.6667 0.3333 0.2318  6 Co 2.05-2.07
B 0.6667 0.3333 0.7682  6 Co 2.05-2.07

---

9.
## Sr2CeNbO6 (PBE-GGA)

Data for an optimized crystal structure of Sr2CeNbO6.

- total energy (eV/atom) = -7.80
- crystal system = cubic
- V (Å³/atom) = 15.69
- space group = Fm-3m (225)
- formation energy (eV/f.u.) = -32.98

Lattice parameters (Å, degrees): 6.0545 6.0545 6.0545 60.00 60.00 60.00
With the nearest neighbours (Å) after each atom.
Positions (direct):
Sr 0.2500 0.2500 0.2500  12 O 3.03
Sr 0.7500 0.7500 0.7500  12 O 3.03
Ce 0.0000 0.0000 0.0000  6 O 2.25
Nb 0.5000 0.5000 0.5000  6 O 2.03
O 0.2628 0.2628 0.7372  1 Nb 2.03, 1 Ce 2.25
O 0.2628 0.7372 0.2628  1 Nb 2.03, 1 Ce 2.25
O 0.2628 0.7372 0.7372  1 Nb 2.03, 1 Ce 2.25
O 0.7372 0.2628 0.2628  1 Nb 2.03, 1 Ce 2.25
O 0.7372 0.2628 0.7372  1 Nb 2.03, 1 Ce 2.25
O 0.7372 0.7372 0.2628  1 Nb 2.03, 1 Ce 2.25

---

10.
## LaGa40Mo8 (PBE-GGA)

Data for an optimized crystal structure of LaGa40Mo8.

- total energy (eV/atom) = -4.50
- crystal system = trigonal
- V (Å³/atom) = 18.32
- space group = R-3 (148)
- formation energy (eV/f.u.) = -7.60

Lattice parameters (Å, degrees): 9.6762 9.6762 9.6762 94.30 94.30 94.30
With the nearest neighbours (Å) after each atom.
Positions (direct):
La 0.0000 0.0000 0.0000  6 Ga 3.08, 2 Mo 3.25
Ga 0.0000 0.5000 0.5000  2 Mo 2.57, 4 Ga 2.84-2.86
Ga 0.0338 0.2138 0.4031  2 Mo 2.62-2.64, 5 Ga 2.75-2.91
Ga 0.0433 0.7118 0.8588  2 Mo 2.66-2.68, 4 Ga 2.70-2.94
Ga 0.0732 0.4436 0.7786  2 Mo 2.62-2.66, 5 Ga 2.70-2.87
Ga 0.1219 0.1723 0.6874  2 Mo 2.69-2.71, 6 Ga 2.78-3.00
Ga 0.1412 0.9567 0.2882  2 Mo 2.66-2.68, 4 Ga 2.70-2.94
Ga 0.1723 0.6874 0.1219  2 Mo 2.69-2.71, 6 Ga 2.78-3.00
Ga 0.2138 0.4031 0.0338  2 Mo 2.62-2.64, 5 Ga 2.75-2.91
Ga 0.2214 0.9268 0.5564  2 Mo 2.62-2.66, 5 Ga 2.70-2.87
Ga 0.2230 0.4677 0.3258  2 Mo 2.64-2.68, 3 Ga 2.84-2.89
Ga 0.2689 0.6373 0.6113  2 Mo 2.69, 7 Ga 2.89-3.00
Ga 0.2882 0.1412 0.9567  2 Mo 2.66-2.68, 4 Ga 2.70-2.94
Ga 0.3126 0.8781 0.8277  2 Mo 2.69-2.71, 6 Ga 2.78-3.00
Ga 0.3258 0.2230 0.4677  2 Mo 2.64-2.68, 3 Ga 2.84-2.89
Ga 0.3627 0.3887 0.7311  2 Mo 2.69, 7 Ga 2.89-3.00
Ga 0.3887 0.7311 0.3627  2 Mo 2.69, 7 Ga 2.89-3.00
Ga 0.4031 0.0338 0.2138  2 Mo 2.62-2.64, 5 Ga 2.75-2.91
Ga 0.4436 0.7786 0.0732  2 Mo 2.62-2.66, 5 Ga 2.70-2.87
Ga 0.4677 0.3258 0.2230  2 Mo 2.64-2.68, 3 Ga 2.84-2.89
Ga 0.5000 0.0000 0.5000  2 Mo 2.57, 4 Ga 2.84-2.86
Ga 0.5000 0.5000 0.0000  2 Mo 2.57, 4 Ga 2.84-2.86
Ga 0.5000 0.5000 0.5000  12 Ga 2.92-3.04
Ga 0.5323 0.6742 0.7770  2 Mo 2.64-2.68, 3 Ga 2.84-2.89
Ga 0.5564 0.2214 0.9268  2 Mo 2.62-2.66, 5 Ga 2.70-2.87
Ga 0.5969 0.9662 0.7862  2 Mo 2.62-2.64, 5 Ga 2.75-2.91
Ga 0.6113 0.2689 0.6373  2 Mo 2.69, 7 Ga 2.89-3.00
Ga 0.6373 0.6113 0.2689  2 Mo 2.69, 7 Ga 2.89-3.00
Ga 0.6742 0.7770 0.5323  2 Mo 2.64-2.68, 3 Ga 2.84-2.89
Ga 0.6874 0.1219 0.1723  2 Mo 2.69-2.71, 6 Ga 2.78-3.00
Ga 0.7118 0.8588 0.0433  2 Mo 2.66-2.68, 4 Ga 2.70-2.94
Ga 0.7311 0.3627 0.3887  2 Mo 2.69, 7 Ga 2.89-3.00
Ga 0.7770 0.5323 0.6742  2 Mo 2.64-2.68, 3 Ga 2.84-2.89
Ga 0.7786 0.0732 0.4436  2 Mo 2.62-2.66, 5 Ga 2.70-2.87
Ga 0.7862 0.5969 0.9662  2 Mo 2.62-2.64, 5 Ga 2.75-2.91
Ga 0.8277 0.3126 0.8781  2 Mo 2.69-2.71, 6 Ga 2.78-3.00
Ga 0.8588 0.0433 0.7118  2 Mo 2.66-2.68, 4 Ga 2.70-2.94
Ga 0.8781 0.8277 0.3126  2 Mo 2.69-2.71, 6 Ga 2.78-3.00
Ga 0.9268 0.5564 0.2214  2 Mo 2.62-2.66, 5 Ga 2.70-2.87
Ga 0.9567 0.2882 0.1412  2 Mo 2.66-2.68, 4 Ga 2.70-2.94
Ga 0.9662 0.7862 0.5969  2 Mo 2.62-2.64, 5 Ga 2.75-2.91
Mo 0.1136 0.7087 0.3896  10 Ga 2.57-2.71
Mo 0.2106 0.2106 0.2106  9 Ga 2.62-2.68
Mo 0.2913 0.6104 0.8864  10 Ga 2.57-2.71
Mo 0.3896 0.1136 0.7087  10 Ga 2.57-2.71
Mo 0.6104 0.8864 0.2913  10 Ga 2.57-2.71
Mo 0.7087 0.3896 0.1136  10 Ga 2.57-2.71
Mo 0.7894 0.7894 0.7894  9 Ga 2.62-2.68
Mo 0.8864 0.2913 0.6104  10 Ga 2.57-2.71

---

Question: The lowest formation energy belongs to which entry?
Answer: NaTi4O8